# Sr4Zn3F14

A geometry-optimized Sr4Zn3F14 structure (PBE, Materials Project).

a = 6.904 Å, b = 6.904 Å, c = 7.221 Å
α = 90.00°, β = 90.00°, γ = 120.00°
Fractional positions:
Sr 0.000 0.000 0.240
Sr 0.000 0.000 0.760
Sr 0.333 0.667 0.000
Sr 0.667 0.333 0.000
Zn 0.000 0.535 0.500
Zn 0.465 0.465 0.500
Zn 0.535 0.000 0.500
F 0.000 0.239 0.500
F 0.000 0.265 0.000
F 0.000 0.607 0.233
F 0.000 0.607 0.767
F 0.239 0.000 0.500
F 0.265 0.000 0.000
F 0.333 0.667 0.500
F 0.393 0.393 0.233
F 0.393 0.393 0.767
F 0.607 0.000 0.233
F 0.607 0.000 0.767
F 0.667 0.333 0.500
F 0.735 0.735 0.000
F 0.761 0.761 0.500

Calculated values
The value obtained for the corrected total energy (MP2020 scheme) is -5.29 eV/atom. As for the mass density: 4.5 g/cm³. As for the energy of formation: -73.8 eV per formula unit.